TbSbIr (GGA-PBE, optimized geometry); crystal system = orthorhombic; uncorrected energy = -6.769 eV per atom
1.0
-3.7525 -2.1199 1.4007
3.7701 -3.1812 5.2856
-1.6371 6.0921 4.8343
Tb Sb Ir
4 4 4
Direct
0.2500 0.5141 0.1908
0.7500 0.4859 0.8092
0.7500 0.9859 0.6908
0.2500 0.0141 0.3092
0.2500 0.6757 0.5881
0.7500 0.3243 0.4119
0.7500 0.8243 0.0881
0.2500 0.1757 0.9119
0.2500 0.7919 0.9106
0.7500 0.2081 0.0894
0.7500 0.7081 0.4106
0.2500 0.2919 0.5894